First-principles (GGA+U) data for a relaxed CoBi25O40 crystal, as listed in the Materials Project.

The structure in POSCAR format:
```
CoBi25O40
1.0
-4.619 3.470 -6.870
4.514 -7.242 -2.784
-34.072 -14.069 39.248
Co Bi O
3 75 120
direct
0.000 0.000 0.333
0.000 0.000 0.167
0.000 0.000 0.000
0.166 0.865 0.946
0.138 0.304 0.968
0.195 0.503 0.890
0.310 0.808 0.857
0.166 0.859 0.778
0.504 0.698 0.973
0.000 0.000 0.833
0.336 0.196 0.918
0.142 0.308 0.801
0.193 0.500 0.722
0.699 0.837 0.918
0.308 0.807 0.690
0.502 0.336 0.866
0.166 0.858 0.611
0.670 0.165 0.978
0.500 0.692 0.806
0.000 0.000 0.667
0.334 0.193 0.750
0.142 0.308 0.635
0.836 0.506 0.950
0.861 0.668 0.862
0.692 0.834 0.750
0.193 0.500 0.556
0.165 0.857 0.444
0.501 0.335 0.699
0.307 0.806 0.523
0.807 0.141 0.885
0.500 0.692 0.639
0.666 0.167 0.810
0.000 0.000 0.500
0.334 0.193 0.583
0.140 0.306 0.467
0.834 0.500 0.782
0.858 0.666 0.694
0.192 0.493 0.388
0.692 0.834 0.583
0.300 0.805 0.356
0.500 0.334 0.532
0.166 0.863 0.278
0.808 0.142 0.718
0.666 0.166 0.643
0.498 0.692 0.472
0.328 0.191 0.415
0.137 0.303 0.301
0.834 0.500 0.615
0.858 0.666 0.528
0.195 0.497 0.222
0.691 0.831 0.416
0.495 0.329 0.365
0.303 0.805 0.189
0.166 0.863 0.111
0.806 0.141 0.551
0.664 0.166 0.476
0.503 0.698 0.306
0.331 0.195 0.250
0.831 0.497 0.448
0.137 0.303 0.134
0.194 0.497 0.055
0.860 0.666 0.360
0.698 0.834 0.251
0.497 0.331 0.199
0.304 0.807 0.023
0.806 0.137 0.383
0.668 0.165 0.310
0.503 0.697 0.139
0.331 0.194 0.083
0.834 0.503 0.283
0.863 0.669 0.194
0.698 0.834 0.084
0.498 0.331 0.032
0.806 0.137 0.217
0.669 0.166 0.144
0.834 0.503 0.116
0.863 0.668 0.027
0.807 0.138 0.051
0.258 0.646 0.979
0.124 0.763 0.897
0.001 0.626 0.834
0.003 0.003 0.936
0.240 0.362 0.937
0.000 0.241 0.833
0.002 0.000 0.874
0.394 0.748 0.937
0.256 0.641 0.813
0.384 0.127 0.962
0.123 0.763 0.730
0.361 0.616 0.873
0.377 0.377 0.897
0.000 0.000 0.771
0.000 0.625 0.667
0.241 0.002 0.833
0.623 0.394 0.958
0.237 0.361 0.769
0.799 0.797 0.966
0.000 0.239 0.667
0.000 0.000 0.707
0.386 0.745 0.771
0.641 0.879 0.877
0.255 0.640 0.646
0.616 0.238 0.894
0.378 0.123 0.794
0.749 0.623 0.899
0.122 0.763 0.563
0.360 0.615 0.706
0.375 0.375 0.729
0.000 0.000 0.604
0.997 0.623 0.499
0.239 0.000 0.667
0.622 0.385 0.791
0.237 0.360 0.602
0.876 0.259 0.941
0.760 0.760 0.793
0.001 0.240 0.500
0.000 0.000 0.540
0.626 0.000 0.834
0.385 0.745 0.604
0.763 0.379 0.854
0.640 0.877 0.709
0.254 0.638 0.479
0.616 0.238 0.727
0.378 0.123 0.627
0.745 0.622 0.731
0.124 0.770 0.396
0.360 0.615 0.539
0.376 0.375 0.563
0.997 0.997 0.437
0.999 0.607 0.333
0.240 0.999 0.500
0.622 0.385 0.624
0.228 0.354 0.434
0.878 0.255 0.773
0.761 0.761 0.627
0.000 0.203 0.333
0.999 0.001 0.367
0.625 0.000 0.667
0.378 0.739 0.436
0.763 0.378 0.687
0.639 0.877 0.542
0.256 0.643 0.312
0.376 0.121 0.460
0.614 0.237 0.560
0.745 0.622 0.564
0.355 0.612 0.371
0.125 0.769 0.230
0.390 0.389 0.398
0.000 0.000 0.268
0.000 0.609 0.167
0.202 0.998 0.333
0.616 0.378 0.456
0.231 0.356 0.269
0.877 0.255 0.607
0.759 0.760 0.460
0.000 0.202 0.167
0.000 0.000 0.200
0.623 0.997 0.499
0.385 0.742 0.269
0.761 0.377 0.520
0.644 0.873 0.375
0.258 0.644 0.146
0.382 0.125 0.295
0.613 0.230 0.392
0.739 0.616 0.396
0.126 0.769 0.064
0.356 0.614 0.205
0.391 0.391 0.232
0.003 0.610 0.000
0.000 0.000 0.102
0.202 0.000 0.167
0.617 0.386 0.290
0.231 0.357 0.102
0.875 0.254 0.440
0.797 0.797 0.299
0.998 0.202 0.000
0.000 0.000 0.034
0.607 0.000 0.333
0.387 0.743 0.103
0.769 0.381 0.354
0.644 0.875 0.210
0.383 0.125 0.128
0.613 0.230 0.226
0.742 0.617 0.231
0.357 0.614 0.039
0.391 0.391 0.065
0.203 0.001 0.000
0.618 0.387 0.124
0.874 0.257 0.274
0.799 0.798 0.133
0.609 0.000 0.167
0.769 0.383 0.187
0.644 0.875 0.043
0.614 0.232 0.060
0.743 0.618 0.065
0.875 0.258 0.107
0.610 0.002 0.001
0.771 0.384 0.021
```

Polymorph energy (0 for the lowest one)   0.000 eV/atom
E (MP2020)   -6.165 eV/atom
Formation enthalpy at 0 K   -1.585 eV per atom
Calculated total energy   -5.723 eV/atom

First-principles (GGA+U) data for a relaxed CoBiO3 crystal, as listed in the Materials Project.

The structure in POSCAR format:
```
CoBiO3
1.0
-2.671 -1.955 3.575
-3.716 3.711 -0.747
-2.423 -3.136 -3.525
Co Bi O
2 2 6
direct
0.572 0.000 0.500
0.572 0.500 0.000
0.994 0.000 0.000
0.994 0.500 0.500
0.211 0.500 0.000
0.211 0.000 0.500
0.726 0.250 0.750
0.726 0.750 0.250
0.726 0.250 0.250
0.726 0.750 0.750
```

Piezoelectric modulus e_max   3.946 C/m²
E (MP2020)   -6.632 eV/atom
Formation enthalpy at 0 K   -1.464 eV per atom
Calculated total energy   -5.893 eV/atom

The highest formation enthalpy at 0 K belongs to which entry?
CoBiO3